Entry 1:
{
  "formula": "Er2Sn5",
  "functional": "r²SCAN",
  "state": "relaxed",
  "formation_enthalpy_0k_mev_per_atom": -506,
  "total_energy_ev_per_cell": -390.25,
  "density_g_cm3": 8.504,
  "cell": [[4.322, 0.000, 0.000], [0.000, 4.387, 0.000], [0.000, 0.000, 19.112]],
  "species": ["Er", "Er", "Er", "Er", "Sn", "Sn", "Sn", "Sn", "Sn", "Sn", "Sn", "Sn", "Sn", "Sn"],
  "frac_coords": [[0.250, 0.250, 0.128], [0.250, 0.750, 0.700], [0.750, 0.250, 0.300], [0.750, 0.750, 0.872], [0.250, 0.250, 0.425], [0.250, 0.250, 0.576], [0.250, 0.250, 0.843], [0.250, 0.750, 0.002], [0.250, 0.750, 0.263], [0.750, 0.250, 0.737], [0.750, 0.250, 0.998], [0.750, 0.750, 0.157], [0.750, 0.750, 0.424], [0.750, 0.750, 0.575]]
}

***

Entry 2:
{
  "formula": "Er5Sn3",
  "functional": "r²SCAN",
  "state": "relaxed",
  "formation_enthalpy_0k_mev_per_atom": -816,
  "total_energy_ev_per_cell": -500.79,
  "density_g_cm3": 9.052,
  "cell": [[8.834, 0.000, 0.000], [-4.417, 7.651, 0.000], [0.000, 0.000, 6.473]],
  "species": ["Er", "Er", "Er", "Er", "Er", "Er", "Er", "Er", "Er", "Er", "Sn", "Sn", "Sn", "Sn", "Sn", "Sn"],
  "frac_coords": [[0.000, 0.238, 0.250], [0.000, 0.762, 0.750], [0.238, 0.000, 0.250], [0.238, 0.238, 0.750], [0.333, 0.667, 0.000], [0.333, 0.667, 0.500], [0.667, 0.333, 0.000], [0.667, 0.333, 0.500], [0.762, 0.000, 0.750], [0.762, 0.762, 0.250], [0.000, 0.395, 0.750], [0.000, 0.605, 0.250], [0.395, 0.000, 0.750], [0.395, 0.395, 0.250], [0.605, 0.000, 0.250], [0.605, 0.605, 0.750]]
}

***

Entry 3:
{
  "formula": "Er3Sn7",
  "functional": "r²SCAN",
  "state": "relaxed",
  "formation_enthalpy_0k_mev_per_atom": -510,
  "total_energy_ev_per_cell": -280.10,
  "density_g_cm3": 8.711,
  "cell": [[2.178, -13.237, 0.000], [2.178, 13.237, 0.000], [0.000, 0.000, 4.406]],
  "species": ["Er", "Er", "Er", "Sn", "Sn", "Sn", "Sn", "Sn", "Sn", "Sn"],
  "frac_coords": [[0.000, 0.000, 0.000], [0.311, 0.689, 0.500], [0.689, 0.311, 0.500], [0.097, 0.903, 0.500], [0.212, 0.788, 0.000], [0.403, 0.597, 0.000], [0.500, 0.500, 0.500], [0.597, 0.403, 0.000], [0.788, 0.212, 0.000], [0.903, 0.097, 0.500]]
}

***

Entry 4:
{
  "formula": "ErZnSn",
  "functional": "r²SCAN",
  "state": "relaxed",
  "formation_enthalpy_0k_mev_per_atom": -632,
  "total_energy_ev_per_cell": -277.92,
  "density_g_cm3": 8.649,
  "cell": [[4.430, 0.000, 0.000], [-2.215, 3.836, 0.000], [0.000, 0.000, 15.879]],
  "species": ["Er", "Er", "Er", "Er", "Zn", "Zn", "Zn", "Zn", "Sn", "Sn", "Sn", "Sn"],
  "frac_coords": [[0.000, 0.000, 0.000], [0.000, 0.000, 0.250], [0.000, 0.000, 0.500], [0.000, 0.000, 0.750], [0.333, 0.667, 0.163], [0.333, 0.667, 0.337], [0.667, 0.333, 0.663], [0.667, 0.333, 0.837], [0.333, 0.667, 0.613], [0.333, 0.667, 0.887], [0.667, 0.333, 0.113], [0.667, 0.333, 0.387]]
}

***

Entry 5:
{
  "formula": "Tb3Er",
  "functional": "r²SCAN",
  "state": "relaxed",
  "formation_enthalpy_0k_mev_per_atom": 43,
  "total_energy_ev_per_cell": -127.43,
  "de_polymorph_mev_per_atom": 3,
  "density_g_cm3": 8.439,
  "cell": [[5.023, 0.000, 0.000], [0.000, 5.023, 0.000], [0.000, 0.000, 5.023]],
  "species": ["Tb", "Tb", "Tb", "Er"],
  "frac_coords": [[0.000, 0.000, 0.500], [0.000, 0.500, 0.000], [0.500, 0.000, 0.000], [0.500, 0.500, 0.500]]
}

***

Entry 6:
{
  "formula": "Tb3Er",
  "functional": "r²SCAN",
  "state": "relaxed",
  "formation_enthalpy_0k_mev_per_atom": 40,
  "total_energy_ev_per_cell": -127.45,
  "de_polymorph_mev_per_atom": 0,
  "density_g_cm3": 8.448,
  "cell": [[-2.507, 2.507, 5.036], [2.507, -2.507, 5.036], [2.507, 2.507, -5.036]],
  "species": ["Tb", "Tb", "Tb", "Er"],
  "frac_coords": [[0.000, 0.000, 0.000], [0.250, 0.750, 0.500], [0.750, 0.250, 0.500], [0.500, 0.500, 0.000]]
}

***

Entry 7:
{
  "formula": "ErTe",
  "functional": "r²SCAN",
  "state": "relaxed",
  "formation_enthalpy_0k_mev_per_atom": -1405,
  "total_energy_ev_per_cell": -62.15,
  "density_g_cm3": 8.698,
  "cell": [[0.000, 3.042, 3.042], [3.042, 0.000, 3.042], [3.042, 3.042, 0.000]],
  "species": ["Er", "Te"],
  "frac_coords": [[0.000, 0.000, 0.000], [0.500, 0.500, 0.500]]
}

***

Entry 8:
{
  "formula": "ErTlTe2",
  "functional": "r²SCAN",
  "state": "relaxed",
  "formation_enthalpy_0k_mev_per_atom": -1226,
  "total_energy_ev_per_cell": -142.84,
  "density_g_cm3": 7.560,
  "cell": [[2.207, 1.274, 8.162], [-2.207, 1.274, 8.162], [0.000, -2.548, 8.162]],
  "species": ["Er", "Tl", "Te", "Te"],
  "frac_coords": [[0.000, 0.000, 0.000], [0.500, 0.500, 0.500], [0.263, 0.263, 0.263], [0.737, 0.737, 0.737]]
}